(1)
## LiNiPO4 (PBE with a Hubbard U)

Data for an optimized crystal structure of LiNiPO4.

Results
Total energy after the MP2020 corrections   -6.967 eV per atom
Formation energy from the elements   -2268 meV per atom
ΔE to the lowest computed polymorph   66 kJ/mol of formula units

Cell lengths 4.8395, 7.9834, 16.7113 Å; angles 90.00, 90.00, 90.00 degrees
With the nearest neighbours (Å) after each atom.
Sites, in units of the cell vectors:
Li: 0.2479 0.5361 0.0558  4 O 1.86-2.04
Li: 0.2479 0.0361 0.4442  4 O 1.86-2.04
Li: 0.2712 0.3771 0.3642  3 O 1.98-2.08
Li: 0.2712 0.8771 0.1358  3 O 1.98-2.08
Li: 0.7479 0.9639 0.5558  4 O 1.86-2.04
Li: 0.7479 0.4639 0.9442  4 O 1.86-2.04
Li: 0.7712 0.1229 0.8642  3 O 1.98-2.08
Li: 0.7712 0.6229 0.6358  3 O 1.98-2.08
Ni: 0.2759 0.3539 0.5521  5 O 2.03-2.23
Ni: 0.2759 0.8539 0.9479  5 O 2.03-2.23
Ni: 0.4239 0.9192 0.7193  3 O 1.92-1.95
Ni: 0.4239 0.4192 0.7807  3 O 1.92-1.95
Ni: 0.7759 0.1461 0.0521  5 O 2.03-2.23
Ni: 0.7759 0.6461 0.4479  5 O 2.03-2.23
Ni: 0.9239 0.0808 0.2807  3 O 1.92-1.95
Ni: 0.9239 0.5808 0.2193  3 O 1.92-1.95
P: 0.2382 0.2521 0.1731  4 O 1.52-1.59
P: 0.2382 0.7521 0.3269  4 O 1.52-1.59
P: 0.2404 0.2472 0.9381  4 O 1.52-1.57
P: 0.2404 0.7472 0.5619  4 O 1.52-1.57
P: 0.7382 0.7479 0.8269  4 O 1.52-1.59
P: 0.7382 0.2479 0.6731  4 O 1.52-1.59
P: 0.7404 0.2528 0.4381  4 O 1.52-1.57
P: 0.7404 0.7528 0.0619  4 O 1.52-1.57
O: 0.0311 0.2624 0.6412  1 P 1.52
O: 0.0311 0.7624 0.8588  1 P 1.52
O: 0.0554 0.7615 0.0437  1 P 1.56
O: 0.0554 0.2615 0.4563  1 P 1.56
O: 0.0897 0.8812 0.5137  1 P 1.52
O: 0.0897 0.3812 0.9863  1 P 1.52
O: 0.2023 0.2762 0.8476  1 P 1.54
O: 0.2023 0.7762 0.6524  1 P 1.54
O: 0.0559 0.0973 0.1449  1 P 1.59
O: 0.0559 0.5973 0.3551  1 P 1.59
O: 0.2209 0.7430 0.2344  1 P 1.55
O: 0.2209 0.2430 0.2656  1 P 1.55
O: 0.1031 0.4206 0.1485  1 P 1.55
O: 0.1031 0.9206 0.3515  1 P 1.55
O: 0.0862 0.5793 0.5415  1 P 1.57
O: 0.0862 0.0793 0.9585  1 P 1.57
O: 0.5311 0.2376 0.1412  1 P 1.52
O: 0.5311 0.7376 0.3588  1 P 1.52
O: 0.5554 0.2385 0.9563  1 P 1.56
O: 0.5554 0.7385 0.5437  1 P 1.56
O: 0.5897 0.1188 0.4863  1 P 1.52
O: 0.5897 0.6188 0.0137  1 P 1.52
O: 0.7023 0.2238 0.3476  1 P 1.54
O: 0.7023 0.7238 0.1524  1 P 1.54
O: 0.5559 0.9027 0.8551  1 P 1.59
O: 0.5559 0.4027 0.6449  1 P 1.59
O: 0.7209 0.7570 0.7344  1 P 1.55
O: 0.7209 0.2570 0.7656  1 P 1.55
O: 0.6031 0.5794 0.8515  1 P 1.55
O: 0.6031 0.0794 0.6485  1 P 1.55
O: 0.5862 0.4207 0.4585  1 P 1.57
O: 0.5862 0.9207 0.0415  1 P 1.57

***

(2)
## Li2NiP5O15 (PBE with a Hubbard U)

Data for an optimized crystal structure of Li2NiP5O15.

Results
Total energy after the MP2020 corrections   -7.249 eV per atom
Formation energy from the elements   -2428 meV per atom
ΔE to the lowest computed polymorph   23 kJ/mol of formula units

Cell lengths 13.3711, 5.1585, 8.8046 Å; angles 78.52, 90.00, 90.00 degrees
With the nearest neighbours (Å) after each atom.
Sites, in units of the cell vectors:
Li: 0.8839 0.9357 0.1019  4 O 2.14-2.36
Li: 0.6161 0.9357 0.1019  4 O 2.14-2.36
Li: 0.1161 0.0643 0.8981  4 O 2.14-2.36
Li: 0.3839 0.0643 0.8981  4 O 2.14-2.36
Ni: 0.0000 0.5000 0.5000  6 O 1.96-2.08
Ni: 0.5000 0.5000 0.5000  6 O 1.96-2.08
P: 0.6392 0.0061 0.5153  4 O 1.51-1.59
P: 0.0762 0.3409 0.1871  4 O 1.49-1.62
P: 0.1392 0.9939 0.4847  4 O 1.51-1.59
P: 0.7500 0.4556 0.0110  4 O 1.49-1.64
P: 0.9238 0.6591 0.8129  4 O 1.49-1.62
P: 0.3608 0.9939 0.4847  4 O 1.51-1.59
P: 0.8608 0.0061 0.5153  4 O 1.51-1.59
P: 0.4238 0.3409 0.1871  4 O 1.49-1.62
P: 0.2500 0.5444 0.9890  4 O 1.49-1.64
P: 0.5762 0.6591 0.8129  4 O 1.49-1.62
O: 0.8555 0.8626 0.6928  2 P 1.59-1.62
O: 0.2500 0.2872 0.9346  1 P 1.50
O: 0.2500 0.8056 0.8800  1 P 1.49
O: 0.0072 0.4864 0.2791  1 P 1.52
O: 0.3430 0.5538 0.1084  2 P 1.60-1.64
O: 0.7500 0.9642 0.4589  2 P 1.59
O: 0.7500 0.1944 0.1200  1 P 1.49
O: 0.6445 0.8626 0.6928  2 P 1.59-1.62
O: 0.6570 0.4462 0.8916  2 P 1.60-1.64
O: 0.1445 0.1374 0.3072  2 P 1.59-1.62
O: 0.2500 0.0358 0.5411  2 P 1.59
O: 0.1252 0.6997 0.4937  1 P 1.52
O: 0.6252 0.3003 0.5063  1 P 1.52
O: 0.7500 0.7128 0.0654  1 P 1.50
O: 0.9694 0.8040 0.9261  1 P 1.49
O: 0.8748 0.3003 0.5063  1 P 1.52
O: 0.4694 0.1960 0.0739  1 P 1.49
O: 0.5724 0.8599 0.4231  1 P 1.51
O: 0.1570 0.5538 0.1084  2 P 1.60-1.64
O: 0.8430 0.4462 0.8916  2 P 1.60-1.64
O: 0.0724 0.1401 0.5769  1 P 1.51
O: 0.9276 0.8599 0.4231  1 P 1.51
O: 0.0306 0.1960 0.0739  1 P 1.49
O: 0.3555 0.1374 0.3072  2 P 1.59-1.62
O: 0.9928 0.5136 0.7209  1 P 1.52
O: 0.3748 0.6997 0.4937  1 P 1.52
O: 0.4276 0.1401 0.5769  1 P 1.51
O: 0.4928 0.4864 0.2791  1 P 1.52
O: 0.5072 0.5136 0.7209  1 P 1.52
O: 0.5306 0.8040 0.9261  1 P 1.49

***

(3)
## LiNiPO4 (PBE with a Hubbard U)

Data for an optimized crystal structure of LiNiPO4.

Results
Total energy after the MP2020 corrections   -6.989 eV per atom
Formation energy from the elements   -2290 meV per atom
ΔE to the lowest computed polymorph   51 kJ/mol of formula units

Cell lengths 4.9766, 4.9761, 15.6895 Å; angles 90.04, 89.97, 114.19 degrees
With the nearest neighbours (Å) after each atom.
Sites, in units of the cell vectors:
Li: 0.3590 0.7465 0.7268  4 O 1.94-2.16
Li: 0.2538 0.6413 0.2269  4 O 1.94-2.16
Li: 0.7465 0.3589 0.7732  4 O 1.94-2.16
Li: 0.6412 0.2539 0.2731  4 O 1.94-2.16
Ni: 0.9067 0.5803 0.5869  5 O 1.98-2.13
Ni: 0.0929 0.4194 0.4131  5 O 1.98-2.13
Ni: 0.5805 0.9066 0.9131  5 O 1.98-2.13
Ni: 0.4194 0.0930 0.0869  5 O 1.98-2.13
P: 0.2335 0.2812 0.6256  4 O 1.53-1.57
P: 0.2814 0.2335 0.8744  4 O 1.53-1.57
P: 0.7187 0.7664 0.1256  4 O 1.53-1.57
P: 0.7663 0.7188 0.3744  4 O 1.53-1.57
O: 0.0179 0.3540 0.6847  1 P 1.57
O: 0.6460 0.9821 0.1847  1 P 1.57
O: 0.3542 0.0179 0.8153  1 P 1.57
O: 0.9818 0.6459 0.3153  1 P 1.57
O: 0.9630 0.2050 0.8688  1 P 1.53
O: 0.7948 0.0372 0.3688  1 P 1.53
O: 0.2050 0.9628 0.6312  1 P 1.53
O: 0.0372 0.7950 0.1312  1 P 1.53
O: 0.5041 0.5455 0.8459  1 P 1.56
O: 0.4544 0.4960 0.3459  1 P 1.56
O: 0.5454 0.5041 0.6541  1 P 1.56
O: 0.4960 0.4544 0.1541  1 P 1.56
O: 0.1605 0.3623 0.5352  1 P 1.56
O: 0.6377 0.8393 0.0352  1 P 1.56
O: 0.3626 0.1608 0.9648  1 P 1.56
O: 0.8393 0.6378 0.4648  1 P 1.56

***

(4)
## LiNiPO4 (PBE with a Hubbard U)

Data for an optimized crystal structure of LiNiPO4.

Results
Total energy after the MP2020 corrections   -7.054 eV per atom
Formation energy from the elements   -2355 meV per atom
ΔE to the lowest computed polymorph   7 kJ/mol of formula units

Cell lengths 5.4246, 8.2276, 18.5461 Å; angles 90.00, 90.00, 90.00 degrees
With the nearest neighbours (Å) after each atom.
Sites, in units of the cell vectors:
Li: 0.7496 0.9237 0.0823  4 O 1.95-2.17
Li: 0.2207 0.4214 0.0842  4 O 1.95-2.14
Li: 0.7408 0.5816 0.2487  4 O 1.95-2.08
Li: 0.2408 0.0816 0.2513  4 O 1.95-2.08
Li: 0.7207 0.9214 0.4158  4 O 1.95-2.14
Li: 0.2496 0.4237 0.4177  4 O 1.95-2.17
Li: 0.7496 0.5763 0.5823  4 O 1.95-2.17
Li: 0.2207 0.0786 0.5842  4 O 1.95-2.14
Li: 0.7408 0.9184 0.7487  4 O 1.95-2.08
Li: 0.2408 0.4184 0.7513  4 O 1.95-2.08
Li: 0.7207 0.5786 0.9158  4 O 1.95-2.14
Li: 0.2496 0.0763 0.9177  4 O 1.95-2.17
Ni: 0.7338 0.2512 0.9997  6 O 2.04-2.16
Ni: 0.2358 0.7515 0.1668  6 O 2.04-2.17
Ni: 0.7376 0.2500 0.1665  6 O 2.03-2.15
Ni: 0.2376 0.7500 0.3335  6 O 2.03-2.15
Ni: 0.7358 0.2515 0.3332  6 O 2.04-2.17
Ni: 0.2338 0.7512 0.5003  6 O 2.04-2.16
Ni: 0.7338 0.2488 0.4997  6 O 2.04-2.16
Ni: 0.2358 0.7485 0.6668  6 O 2.04-2.17
Ni: 0.7376 0.2500 0.6665  6 O 2.03-2.15
Ni: 0.2376 0.7500 0.8335  6 O 2.03-2.15
Ni: 0.7358 0.2485 0.8332  6 O 2.04-2.17
Ni: 0.2338 0.7488 0.0003  6 O 2.04-2.16
P: 0.7318 0.6000 0.0829  4 O 1.53-1.59
P: 0.2380 0.0996 0.0839  4 O 1.53-1.59
P: 0.7374 0.9015 0.2495  4 O 1.53-1.59
P: 0.2374 0.4015 0.2505  4 O 1.53-1.59
P: 0.7380 0.5996 0.4161  4 O 1.53-1.59
P: 0.2318 0.1000 0.4171  4 O 1.53-1.59
P: 0.7318 0.9000 0.5829  4 O 1.53-1.59
P: 0.2380 0.4004 0.5839  4 O 1.53-1.59
P: 0.7374 0.5985 0.7495  4 O 1.53-1.59
P: 0.2374 0.0985 0.7505  4 O 1.53-1.59
P: 0.7380 0.9004 0.9161  4 O 1.53-1.59
P: 0.2318 0.4000 0.9171  4 O 1.53-1.59
O: 0.7323 0.4964 0.0144  1 P 1.53
O: 0.2363 0.9937 0.0161  1 P 1.53
O: 0.4675 0.2182 0.0833  1 P 1.58
O: 0.0058 0.2170 0.0833  1 P 1.59
O: 0.9624 0.7186 0.0830  1 P 1.59
O: 0.5008 0.7173 0.0835  1 P 1.58
O: 0.7364 0.4948 0.1509  1 P 1.53
O: 0.2376 0.9968 0.1526  1 P 1.53
O: 0.7384 0.0050 0.1810  1 P 1.53
O: 0.2348 0.5063 0.1824  1 P 1.53
O: 0.4686 0.2836 0.2500  1 P 1.59
O: 0.0075 0.2827 0.2505  1 P 1.58
O: 0.5075 0.7827 0.2495  1 P 1.58
O: 0.9686 0.7836 0.2500  1 P 1.59
O: 0.7348 0.0063 0.3176  1 P 1.53
O: 0.2384 0.5050 0.3190  1 P 1.53
O: 0.7376 0.4968 0.3474  1 P 1.53
O: 0.2364 0.9948 0.3491  1 P 1.53
O: 0.0008 0.2173 0.4165  1 P 1.58
O: 0.4624 0.2186 0.4170  1 P 1.59
O: 0.5058 0.7170 0.4167  1 P 1.59
O: 0.9675 0.7182 0.4167  1 P 1.58
O: 0.7363 0.4937 0.4839  1 P 1.53
O: 0.2323 0.9964 0.4856  1 P 1.53
O: 0.7323 0.0036 0.5144  1 P 1.53
O: 0.2363 0.5063 0.5161  1 P 1.53
O: 0.4675 0.2818 0.5833  1 P 1.58
O: 0.0058 0.2830 0.5833  1 P 1.59
O: 0.9624 0.7814 0.5830  1 P 1.59
O: 0.5008 0.7827 0.5835  1 P 1.58
O: 0.7364 0.0052 0.6509  1 P 1.53
O: 0.2376 0.5032 0.6526  1 P 1.53
O: 0.7384 0.4950 0.6810  1 P 1.53
O: 0.2348 0.9937 0.6824  1 P 1.53
O: 0.4686 0.2164 0.7500  1 P 1.59
O: 0.0075 0.2173 0.7505  1 P 1.58
O: 0.5075 0.7173 0.7495  1 P 1.58
O: 0.9686 0.7164 0.7500  1 P 1.59
O: 0.7348 0.4937 0.8176  1 P 1.53
O: 0.2384 0.9950 0.8190  1 P 1.53
O: 0.7376 0.0032 0.8474  1 P 1.53
O: 0.2364 0.5052 0.8491  1 P 1.53
O: 0.0008 0.2827 0.9165  1 P 1.58
O: 0.4624 0.2814 0.9170  1 P 1.59
O: 0.5058 0.7830 0.9167  1 P 1.59
O: 0.9675 0.7818 0.9167  1 P 1.58
O: 0.7363 0.0063 0.9839  1 P 1.53
O: 0.2323 0.5036 0.9856  1 P 1.53